P | # LiCu2F5

Crystalline LiCu2F5 at its relaxed geometry (GGA-PBE, the Materials Project database).

a = 6.3975 Å, b = 6.3975 Å, c = 6.1966 Å
α = 71.86°, β = 71.86°, γ = 107.07°
With the nearest neighbours (Å) after each atom.
Fractional coordinates of all 16 atoms:
F1 0.2788 0.9456 0.3533  2 Cu 1.91-1.92
F2 0.3319 0.6681 0.7500  2 Cu 1.91
F3 0.7212 0.0544 0.6467  2 Cu 1.91-1.92
F4 0.8278 0.6659 0.7289  1 Cu 1.88, 1 Li 1.89
F5 0.6681 0.3319 0.2500  2 Cu 1.91
F6 0.9456 0.2788 0.8533  2 Cu 1.91-1.92
F7 0.3341 0.1722 0.7711  1 Cu 1.88, 1 Li 1.89
F8 0.0544 0.7212 0.1467  2 Cu 1.91-1.92
F9 0.6659 0.8278 0.2289  1 Cu 1.88, 1 Li 1.89
F10 0.1722 0.3341 0.2711  1 Cu 1.88, 1 Li 1.89
Cu1 0.0000 0.0000 0.0000  4 F 1.88-1.92
Cu2 0.0000 0.0000 0.5000  4 F 1.88-1.92
Cu3 0.0000 0.5000 0.0000  4 F 1.91
Cu4 0.5000 0.0000 0.5000  4 F 1.91
Li1 0.3654 0.6346 0.2500  2 F 1.89
Li2 0.6346 0.3654 0.7500  2 F 1.89

Output
crystal system = monoclinic
space-group type = C2/c, No. 15

Q | # LiCu2F5

Crystalline LiCu2F5 at its relaxed geometry (GGA-PBE, the Materials Project database).

a = 5.5713 Å, b = 5.5713 Å, c = 9.8894 Å
α = 90.00°, β = 90.00°, γ = 139.32°
With the nearest neighbours (Å) after each atom.
Fractional coordinates of all 16 atoms:
F1 0.6748 0.3252 0.5692  2 Cu 1.98
F2 0.6748 0.3252 0.9308  2 Cu 1.98
F3 0.9350 0.0650 0.8897  2 Cu 1.91-2.12, 1 Li 1.94
F4 0.9350 0.0650 0.6103  2 Cu 1.91-2.12, 1 Li 1.94
F5 0.0650 0.9350 0.1103  2 Cu 1.91-2.12, 1 Li 1.94
F6 0.7807 0.2193 0.2500  2 Cu 2.00, 2 Li 2.13
F7 0.3252 0.6748 0.4308  2 Cu 1.98
F8 0.0650 0.9350 0.3897  2 Cu 1.91-2.12, 1 Li 1.94
F9 0.2193 0.7807 0.7500  2 Cu 2.00, 2 Li 2.13
F10 0.3252 0.6748 0.0692  2 Cu 1.98
Li1 0.1950 0.8050 0.2500  4 F 1.94-2.13
Li2 0.8050 0.1950 0.7500  4 F 1.94-2.13
Cu1 0.8661 0.1339 0.0691  5 F 1.91-2.12
Cu2 0.1339 0.8661 0.9309  5 F 1.91-2.12
Cu3 0.8661 0.1339 0.4309  5 F 1.91-2.12
Cu4 0.1339 0.8661 0.5691  5 F 1.91-2.12

Output
crystal system = orthorhombic
space-group type = Cmcm, No. 63

Q: What are the energies relative to the best structure? A: P 47; Q 0, in meV/atom.